No. 1
Here is a geometry-optimized YZr9O20 structure from the Materials Project. Energies are from GGA-PBE.

Output
mass density = 5792 kg/m³
size of the total moment = 0.8 μB/f.u.
energy of formation from the pure elements = -3.70 eV/atom
total energy after the MP2020 corrections = -293.44 eV per cell
VASP energy = -279.7 eV for the cell shown

Cell lengths 6.4086, 7.3871, 8.1760 Å; angles 77.13, 75.30, 72.53 degrees
Last column: nearest neighbours and their distance in Å.
Positions (direct):
Y (0.0000, 0.0000, 0.0000)  8 O 2.26-2.43
Zr (0.9999, 0.4995, 0.9970)  7 O 2.14-2.38
Zr (0.1982, 0.3011, 0.6008)  6 O 2.13-2.36
Zr (0.2001, 0.7996, 0.6009)  6 O 2.12-2.35
Zr (0.3955, 0.5988, 0.2014)  7 O 2.12-2.36
Zr (0.4005, 0.0975, 0.2006)  8 O 2.15-2.39
Zr (0.6002, 0.3985, 0.8003)  7 O 2.12-2.37
Zr (0.6006, 0.8981, 0.8023)  7 O 2.14-2.37
Zr (0.7968, 0.7009, 0.4004)  6 O 2.13-2.36
Zr (0.7992, 0.2004, 0.3986)  6 O 2.12-2.35
O (0.0282, 0.6777, 0.1624)  3 Zr 2.13-2.34
O (0.0707, 0.2190, 0.1474)  3 Zr 2.14-2.34
O (0.1247, 0.0822, 0.4582)  3 Zr 2.13-2.39
O (0.1701, 0.6152, 0.4464)  3 Zr 2.13-2.36
O (0.2370, 0.4801, 0.7579)  3 Zr 2.14-2.32
O (0.2772, 0.0135, 0.7367)  3 Zr 2.14-2.35
O (0.3451, 0.8816, 0.0612)  3 Zr 2.12-2.33, 1 Y 2.26
O (0.3726, 0.4152, 0.0418)  3 Zr 2.14-2.38
O (0.4189, 0.2888, 0.3575)  3 Zr 2.13-2.34
O (0.4684, 0.8121, 0.3477)  4 Zr 2.13-2.39
O (0.5294, 0.6839, 0.6585)  4 Zr 2.14-2.37
O (0.5749, 0.2146, 0.6398)  2 Zr 2.13-2.15
O (0.6216, 0.0922, 0.9532)  3 Zr 2.14-2.31
O (0.6675, 0.6127, 0.9453)  4 Zr 2.15-2.37
O (0.7222, 0.4852, 0.2570)  2 Zr 2.13-2.14
O (0.7549, 0.0149, 0.2539)  3 Zr 2.12-2.33, 1 Y 2.27
O (0.8266, 0.8842, 0.5575)  4 Zr 2.14-2.39
O (0.8736, 0.4145, 0.5371)  3 Zr 2.14-2.35
O (0.9290, 0.3014, 0.8483)  3 Zr 2.12-2.30, 1 Y 2.27
O (0.9678, 0.8015, 0.8374)  3 Zr 2.12-2.32, 1 Y 2.27


No. 2
Here is a geometry-optimized YZr4O10 structure from the Materials Project. Energies are from GGA-PBE.

Output
mass density = 5761 kg/m³
size of the total moment = 0.0 μB/f.u.
energy of formation from the pure elements = -3.63 eV/atom
total energy after the MP2020 corrections = -144.65 eV per cell
VASP energy = -137.8 eV for the cell shown

Cell lengths 6.3798, 6.3798, 6.3798 Å; angles 99.64, 99.64, 131.70 degrees
Last column: nearest neighbours and their distance in Å.
Positions (direct):
Y (0.0000, 0.0000, 0.0000)  8 O 2.33
Zr (0.2005, 0.3989, 0.5994)  8 O 2.23-2.26
Zr (0.3989, 0.7995, 0.1985)  8 O 2.23-2.26
Zr (0.6011, 0.2005, 0.8015)  8 O 2.23-2.26
Zr (0.7995, 0.6011, 0.4006)  8 O 2.23-2.26
O (0.0509, 0.3599, 0.8949)  3 Zr 2.23-2.24, 1 Y 2.33
O (0.1561, 0.0509, 0.6910)  3 Zr 2.23-2.24, 1 Y 2.33
O (0.2500, 0.7500, 0.5000)  4 Zr 2.26
O (0.3599, 0.4651, 0.3090)  3 Zr 2.23-2.24, 1 Y 2.33
O (0.4651, 0.1561, 0.1051)  3 Zr 2.23-2.24, 1 Y 2.33
O (0.5349, 0.8439, 0.8949)  3 Zr 2.23-2.24, 1 Y 2.33
O (0.6401, 0.5349, 0.6910)  3 Zr 2.23-2.24, 1 Y 2.33
O (0.7500, 0.2500, 0.5000)  4 Zr 2.26
O (0.8439, 0.9491, 0.3090)  3 Zr 2.23-2.24, 1 Y 2.33
O (0.9491, 0.6401, 0.1051)  3 Zr 2.23-2.24, 1 Y 2.33


No. 3
Here is a geometry-optimized Y6Zr22O53 structure from the Materials Project. Energies are from GGA-PBE.

Output
energy above the lowest structure with this stoichiometry = 222 meV/atom
mass density = 5603 kg/m³
size of the total moment = 6.0 μB/f.u.
energy of formation from the pure elements = -3.52 eV/atom
total energy after the MP2020 corrections = -774.18 eV per cell
VASP energy = -737.8 eV for the cell shown

Cell lengths 86.1235, 86.1235, 86.1235 Å; angles 2.44, 2.44, 2.44 degrees
Last column: nearest neighbours and their distance in Å.
Positions (direct):
Y (0.0000, 0.0000, 0.0000)  8 O 2.24-2.33
Y (0.0364, 0.0364, 0.0364)  8 O 2.26-2.50
Y (0.3208, 0.3208, 0.3208)  8 O 2.24-2.33
Y (0.3577, 0.3577, 0.3577)  8 O 2.24-2.32
Y (0.6422, 0.6422, 0.6422)  8 O 2.26-2.50
Y (0.6785, 0.6785, 0.6785)  8 O 2.24-2.33
Zr (0.0710, 0.0710, 0.0710)  4 O 2.06-2.18
Zr (0.1065, 0.1065, 0.1065)  4 O 2.08-2.18
Zr (0.1425, 0.1425, 0.1425)  4 O 2.11-2.18
Zr (0.1788, 0.1788, 0.1788)  5 O 2.16-2.23
Zr (0.2143, 0.2143, 0.2143)  5 O 2.14-2.25
Zr (0.2506, 0.2506, 0.2506)  4 O 2.07-2.18
Zr (0.2859, 0.2859, 0.2859)  4 O 2.03-2.18
Zr (0.3927, 0.3927, 0.3927)  4 O 2.04-2.18
Zr (0.4279, 0.4279, 0.4279)  4 O 2.08-2.18
Zr (0.4637, 0.4637, 0.4637)  4 O 2.09-2.18
Zr (0.5009, 0.5009, 0.5009)  6 O 2.22-2.34
Zr (0.5362, 0.5362, 0.5362)  7 O 2.23-2.48
Zr (0.5720, 0.5720, 0.5720)  4 O 2.07-2.18
Zr (0.6076, 0.6076, 0.6076)  4 O 2.05-2.18
Zr (0.7146, 0.7146, 0.7146)  4 O 2.03-2.17
Zr (0.7494, 0.7494, 0.7494)  4 O 2.07-2.18
Zr (0.7851, 0.7851, 0.7851)  4 O 2.09-2.18
Zr (0.8218, 0.8218, 0.8218)  5 O 2.13-2.23
Zr (0.8576, 0.8576, 0.8576)  7 O 2.17-2.32
Zr (0.8935, 0.8935, 0.8935)  4 O 2.07-2.18
Zr (0.9291, 0.9291, 0.9291)  4 O 2.06-2.18
Zr (0.9640, 0.9640, 0.9640)  4 O 2.02-2.17
O (0.0090, 0.0090, 0.0090)  4 Y 2.24-2.33
O (0.0272, 0.0272, 0.0272)  4 Y 2.24-2.37
O (0.0461, 0.0461, 0.0461)  3 Zr 2.17
O (0.0630, 0.0630, 0.0630)  1 Zr 2.06
O (0.0808, 0.0808, 0.0808)  3 Zr 2.18
O (0.0984, 0.0984, 0.0984)  1 Zr 2.08
O (0.1164, 0.1164, 0.1164)  3 Zr 2.18
O (0.1343, 0.1343, 0.1343)  4 Zr 2.11-2.35
O (0.1702, 0.1702, 0.1702)  4 Zr 2.22-2.23
O (0.1873, 0.1873, 0.1873)  4 Zr 2.19-2.32
O (0.2056, 0.2056, 0.2056)  4 Zr 2.23-2.25
O (0.2227, 0.2227, 0.2227)  4 Zr 2.16-2.37
O (0.2406, 0.2406, 0.2406)  3 Zr 2.18
O (0.2586, 0.2586, 0.2586)  1 Zr 2.07
O (0.2762, 0.2762, 0.2762)  3 Zr 2.18
O (0.2937, 0.2937, 0.2937)  1 Zr 2.03
O (0.3119, 0.3119, 0.3119)  4 Y 2.26-2.30
O (0.3299, 0.3299, 0.3299)  4 Y 2.30-2.33, 3 O 2.55
O (0.3487, 0.3487, 0.3487)  4 Y 2.30-2.32, 3 O 2.55
O (0.3666, 0.3666, 0.3666)  4 Y 2.26-2.31
O (0.3848, 0.3848, 0.3848)  1 Zr 2.04
O (0.4023, 0.4023, 0.4023)  3 Zr 2.18
O (0.4199, 0.4199, 0.4199)  1 Zr 2.08
O (0.4378, 0.4378, 0.4378)  3 Zr 2.18
O (0.4556, 0.4556, 0.4556)  4 Zr 2.09-2.34
O (0.4739, 0.4739, 0.4739)  3 Zr 2.18
O (0.4893, 0.4893, 0.4893)  3 Zr 2.13
O (0.5266, 0.5266, 0.5266)  3 Zr 2.20
O (0.5621, 0.5621, 0.5621)  3 Zr 2.18
O (0.5801, 0.5801, 0.5801)  1 Zr 2.07
O (0.5977, 0.5977, 0.5977)  3 Zr 2.18
O (0.6155, 0.6155, 0.6155)  1 Zr 2.05
O (0.6325, 0.6325, 0.6325)  3 Zr 2.17
O (0.6514, 0.6514, 0.6514)  4 Y 2.24-2.37
O (0.6695, 0.6695, 0.6695)  4 Y 2.24-2.32
O (0.6875, 0.6875, 0.6875)  4 Y 2.30-2.33, 3 O 2.55
O (0.7067, 0.7067, 0.7067)  1 Zr 2.03
O (0.7241, 0.7241, 0.7241)  3 Zr 2.18
O (0.7414, 0.7414, 0.7414)  1 Zr 2.07
O (0.7593, 0.7593, 0.7593)  3 Zr 2.18
O (0.7770, 0.7770, 0.7770)  1 Zr 2.09
O (0.7950, 0.7950, 0.7950)  3 Zr 2.18
O (0.8135, 0.8135, 0.8135)  1 Zr 2.14
O (0.8304, 0.8304, 0.8304)  4 Zr 2.23-2.34
O (0.8471, 0.8471, 0.8471)  3 Zr 2.16
O (0.8660, 0.8660, 0.8660)  4 Zr 2.17-2.31
O (0.8822, 0.8822, 0.8822)  3 Zr 2.14
O (0.9015, 0.9015, 0.9015)  1 Zr 2.07
O (0.9192, 0.9192, 0.9192)  3 Zr 2.18
O (0.9371, 0.9371, 0.9371)  1 Zr 2.06
O (0.9545, 0.9545, 0.9545)  3 Zr 2.18
O (0.9718, 0.9718, 0.9718)  1 Zr 2.02
O (0.9910, 0.9910, 0.9910)  4 Y 2.30-2.32, 3 O 2.55


No. 4
Here is a geometry-optimized ZnO2 structure from the Materials Project. Energies are from GGA-PBE.

Output
mass density = 4990 kg/m³
size of the total moment = 2.0 μB/f.u.
energy of formation from the pure elements = -0.73 eV/atom
total energy after the MP2020 corrections = -53.35 eV per cell
VASP energy = -47.9 eV for the cell shown

Cell lengths 3.2303, 5.2354, 7.6672 Å; angles 90.00, 90.00, 90.00 degrees
Last column: nearest neighbours and their distance in Å.
Positions (direct):
Zn (0.2485, 0.0877, 0.3464)  7 O 2.05-2.18
Zn (0.2515, 0.9123, 0.8464)  7 O 2.05-2.18
Zn (0.7485, 0.4123, 0.6536)  7 O 2.05-2.18
Zn (0.7515, 0.5877, 0.1536)  7 O 2.05-2.18
O (0.2475, 0.6508, 0.6295)  3 Zn 2.05-2.15
O (0.2502, 0.1644, 0.6209)  4 Zn 2.08-2.18
O (0.2498, 0.8356, 0.1209)  4 Zn 2.08-2.18
O (0.2525, 0.3492, 0.1295)  3 Zn 2.05-2.15
O (0.7475, 0.8492, 0.3705)  3 Zn 2.05-2.15
O (0.7502, 0.3356, 0.3791)  4 Zn 2.08-2.18
O (0.7498, 0.6644, 0.8791)  4 Zn 2.08-2.18
O (0.7525, 0.1508, 0.8705)  3 Zn 2.05-2.15